Record 1
First-principles (PBE with a Hubbard U) data for an optimized crystal structure of Ba10MgMn3V8Cl12O28, as listed in the Materials Project.

Structure (POSCAR):
```
Ba10MgMn3V8Cl12O28
1.0
13.578 0.000 0.000
0.000 5.830 0.000
-6.434 0.000 14.716
Ba Mg Mn V Cl O
10 1 3 8 12 28
direct
0.000 0.000 0.000 Ba
0.000 0.492 0.500 Ba
0.264 0.494 0.956 Ba
0.264 0.998 0.456 Ba
0.271 0.495 0.228 Ba
0.271 0.997 0.728 Ba
0.729 0.495 0.772 Ba
0.729 0.997 0.272 Ba
0.736 0.494 0.044 Ba
0.736 0.998 0.544 Ba
0.500 0.996 0.000 Mg
0.000 0.746 0.250 Mn
0.000 0.746 0.750 Mn
0.500 0.496 0.500 Mn
0.294 0.495 0.599 V
0.295 0.997 0.098 V
0.451 0.498 0.845 V
0.451 0.994 0.344 V
0.549 0.498 0.155 V
0.549 0.994 0.656 V
0.705 0.997 0.902 V
0.706 0.495 0.401 V
0.002 0.514 0.114 Cl
0.002 0.978 0.614 Cl
0.145 0.502 0.362 Cl
0.145 0.990 0.862 Cl
0.148 0.503 0.737 Cl
0.148 0.989 0.237 Cl
0.852 0.503 0.263 Cl
0.852 0.989 0.763 Cl
0.855 0.502 0.638 Cl
0.855 0.990 0.138 Cl
0.998 0.514 0.886 Cl
0.998 0.978 0.386 Cl
0.209 0.262 0.572 O
0.210 0.230 0.072 O
0.211 0.731 0.573 O
0.212 0.762 0.073 O
0.367 0.493 0.534 O
0.369 0.999 0.034 O
0.376 0.494 0.722 O
0.376 0.998 0.221 O
0.413 0.232 0.390 O
0.414 0.753 0.389 O
0.415 0.258 0.891 O
0.416 0.496 0.132 O
0.416 0.740 0.891 O
0.416 0.996 0.632 O
0.584 0.496 0.868 O
0.584 0.740 0.109 O
0.584 0.996 0.368 O
0.585 0.258 0.109 O
0.586 0.753 0.611 O
0.587 0.232 0.610 O
0.624 0.494 0.278 O
0.624 0.998 0.779 O
0.631 0.999 0.966 O
0.633 0.493 0.466 O
0.788 0.762 0.927 O
0.789 0.731 0.427 O
0.790 0.230 0.928 O
0.791 0.262 0.428 O
```

**Space group**: No. 3
**V**: 1165 Å³ per cell
**Energy of formation**: -2.63 eV per atom
**Raw total energy**: -6.5617 eV per atom

Record 2
First-principles (PBE with a Hubbard U) data for an optimized crystal structure of LiMnSiO4, as listed in the Materials Project.

Structure (POSCAR):
```
LiMnSiO4
1.0
5.922 0.000 0.000
1.153 6.212 0.000
0.612 2.245 9.314
Li Mn Si O
4 4 4 16
direct
0.069 0.350 0.167 Li
0.071 0.841 0.237 Li
0.929 0.159 0.763 Li
0.931 0.650 0.833 Li
0.306 0.632 0.578 Mn
0.498 0.066 0.224 Mn
0.502 0.934 0.776 Mn
0.694 0.368 0.422 Mn
0.212 0.174 0.501 Si
0.364 0.282 0.885 Si
0.636 0.718 0.115 Si
0.788 0.826 0.499 Si
0.047 0.746 0.445 O
0.226 0.169 0.332 O
0.233 0.083 0.855 O
0.237 0.522 0.786 O
0.314 0.926 0.608 O
0.339 0.294 0.052 O
0.379 0.343 0.532 O
0.381 0.805 0.177 O
0.619 0.195 0.823 O
0.621 0.657 0.468 O
0.661 0.706 0.948 O
0.686 0.074 0.392 O
0.763 0.478 0.214 O
0.767 0.917 0.145 O
0.774 0.831 0.668 O
0.953 0.254 0.555 O
```

**Space group**: No. 2
**V**: 343 Å³ per cell
**Energy of formation**: -2.57 eV per atom
**Offset from the most stable computed form**: 0.074 eV per atom
**Raw total energy**: -7.1182 eV per atom

Record 3
First-principles (PBE with a Hubbard U) data for an optimized crystal structure of Li2MnP4O12, as listed in the Materials Project.

Structure (POSCAR):
```
Li2MnP4O12
1.0
7.613 0.000 0.000
0.000 9.542 0.000
-4.816 0.000 7.307
Li Mn P O
4 2 8 24
direct
0.218 0.153 0.335 Li
0.218 0.347 0.835 Li
0.782 0.653 0.165 Li
0.782 0.847 0.665 Li
0.000 0.000 0.500 Mn
0.000 0.500 0.000 Mn
0.214 0.712 0.383 P
0.214 0.788 0.883 P
0.454 0.602 0.771 P
0.454 0.898 0.271 P
0.546 0.102 0.729 P
0.546 0.398 0.229 P
0.786 0.212 0.117 P
0.786 0.288 0.617 P
0.071 0.600 0.251 O
0.071 0.900 0.751 O
0.103 0.675 0.916 O
0.103 0.825 0.416 O
0.311 0.116 0.600 O
0.311 0.384 0.100 O
0.347 0.031 0.264 O
0.347 0.469 0.764 O
0.355 0.736 0.811 O
0.355 0.764 0.311 O
0.400 0.641 0.570 O
0.400 0.859 0.070 O
0.600 0.141 0.930 O
0.600 0.359 0.430 O
0.645 0.236 0.689 O
0.645 0.264 0.189 O
0.653 0.531 0.236 O
0.653 0.969 0.736 O
0.689 0.616 0.900 O
0.689 0.884 0.400 O
0.897 0.175 0.584 O
0.897 0.325 0.084 O
0.929 0.100 0.249 O
0.929 0.400 0.749 O
```

**Space group**: No. 14
**V**: 531 Å³ per cell
**Energy of formation**: -2.61 eV per atom
**Offset from the most stable computed form**: 0.036 eV per atom
**Raw total energy**: -7.0362 eV per atom

Record 4
First-principles (PBE with a Hubbard U) data for an optimized crystal structure of LiMnPH2O5, as listed in the Materials Project.

Structure (POSCAR):
```
LiMnPH2O5
1.0
-0.592 -2.487 3.988
-3.330 -7.839 -5.383
7.815 -5.857 -2.493
Mn O P H Li
4 20 4 8 4
direct
0.021 0.987 0.986 Mn
0.021 0.487 0.486 Mn
0.521 0.763 0.264 Mn
0.521 0.263 0.764 Mn
0.692 0.203 0.202 O
0.228 0.290 0.577 O
0.728 0.672 0.460 O
0.185 0.859 0.359 O
0.228 0.078 0.790 O
0.192 0.047 0.548 O
0.692 0.703 0.702 O
0.728 0.171 0.960 O
0.728 0.460 0.673 O
0.274 0.605 0.606 O
0.192 0.547 0.048 O
0.186 0.359 0.859 O
0.774 0.145 0.644 O
0.727 0.960 0.173 O
0.227 0.790 0.077 O
0.273 0.105 0.105 O
0.773 0.645 0.145 O
0.686 0.391 0.391 O
0.228 0.579 0.290 O
0.685 0.891 0.891 O
0.099 0.637 0.137 P
0.100 0.137 0.636 P
0.599 0.113 0.113 P
0.600 0.613 0.614 P
0.557 0.962 0.829 H
0.057 0.788 0.421 H
0.059 0.288 0.921 H
0.559 0.462 0.329 H
0.557 0.330 0.462 H
0.557 0.830 0.962 H
0.057 0.920 0.288 H
0.057 0.420 0.788 H
0.093 0.213 0.213 Li
0.593 0.537 0.037 Li
0.594 0.037 0.537 Li
0.094 0.713 0.713 Li
```

**V**: 454 Å³ per cell
**Energy of formation**: -2.14 eV per atom
**Offset from the most stable computed form**: 0.068 eV per atom
**Raw total energy**: -6.4296 eV per atom